Record 1
DFT (r²SCAN) results for a relaxed MgSc2 crystal.

Cell lengths 3.333, 8.409, 5.233 Å; angles 90.00, 90.00, 78.56 degrees
Sites, in units of the cell vectors:
Sc 0.665 0.672 0.000
Sc 0.115 0.773 0.500
Sc 0.786 0.430 0.500
Sc 0.993 0.014 0.000
Mg 0.326 0.343 0.000
Mg 0.448 0.101 0.500

Results
**E_tot**: -9.00 eV per atom
**Total magnetic moment**: 2.16 μB/cell
**Space-group type**: Pm, No. 6
**Energy relative to the elements**: -0.4 kcal/mol of atoms

***

Record 2
DFT (r²SCAN) results for a relaxed MgSc2 crystal.

Cell lengths 6.198, 6.198, 7.688 Å; angles 76.38, 76.38, 30.61 degrees
Sites, in units of the cell vectors:
Mg 0.360 0.360 0.025
Mg 0.640 0.640 0.975
Sc 0.975 0.975 0.307
Sc 0.304 0.304 0.634
Sc 0.025 0.025 0.693
Sc 0.696 0.696 0.366

Results
**E_tot**: -8.97 eV per atom
**Total magnetic moment**: 0.00 μB/cell
**Space-group type**: C2/m, No. 12
**Energy relative to the elements**: 0.3 kcal/mol of atoms

***

Record 3
DFT (r²SCAN) results for a relaxed Mg5Sc crystal.

Cell lengths 6.172, 6.172, 6.172 Å; angles 52.69, 52.69, 52.69 degrees
Sites, in units of the cell vectors:
Mg 0.835 0.835 0.835
Mg 0.165 0.165 0.165
Mg 0.662 0.338 0.000
Mg 0.000 0.662 0.338
Mg 0.338 0.000 0.662
Sc 0.500 0.500 0.500

Results
**E_tot**: -5.34 eV per atom
**Total magnetic moment**: 0.00 μB/cell
**Space-group type**: R32, No. 155
**Energy relative to the elements**: 0.9 kcal/mol of atoms

***

Number 3 is which compound? Mg5Sc

***

Which value of total magnetic moment does entry 1 give? 2.16 μB/cell

***

Look up the energy relative to the elements of the second one. 0.3 kcal/mol of atoms

***

What is the energy relative to the elements in the first record? -0.4 kcal/mol of atoms